[1]
Material: UMnFe
Method: DFT, GGA-PBE
State: relaxed

- Raw total energy: -58.33 eV/cell
- Symmetry: Imma

a b c (Å): 4.9570 4.9570 4.9570
angles (deg): 119.94 119.03 90.90
With the nearest neighbours (Å) after each atom.
Positions (direct):
U: 0.3734 0.1234 0.2500  6 Fe 2.88-2.94, 6 Mn 2.91, 4 U 3.04
U: 0.6266 0.8766 0.7500  6 Fe 2.88-2.94, 6 Mn 2.91, 4 U 3.04
Mn: 0.0000 0.5000 0.5000  4 Fe 2.48, 2 Mn 2.51
Mn: 0.5000 0.5000 0.0000  4 Fe 2.48, 2 Mn 2.51
Fe: 0.0000 0.0000 0.5000  4 Mn 2.48, 2 Fe 2.48
Fe: 0.0000 0.5000 0.0000  4 Mn 2.48, 2 Fe 2.48

=====

[2]
Material: MnCuSe4
Method: DFT, GGA-PBE
State: relaxed

- Raw total energy: -56.91 eV/cell
- Symmetry: P2_1/c

a b c (Å): 6.1849 6.2427 6.2573
angles (deg): 90.00 90.43 90.00
With the nearest neighbours (Å) after each atom.
Positions (direct):
Mn: 0.0000 0.0000 0.0000  6 Se 2.58-2.64
Mn: 0.0000 0.5000 0.5000  6 Se 2.58-2.64
Cu: 0.5000 0.0000 0.5000  6 Se 2.59-2.63
Cu: 0.5000 0.5000 0.0000  6 Se 2.59-2.63
Se: 0.1145 0.1132 0.6108  1 Se 2.43, 1 Cu 2.59, 2 Mn 2.61-2.64
Se: 0.1145 0.3868 0.1108  1 Se 2.43, 1 Cu 2.59, 2 Mn 2.61-2.64
Se: 0.3873 0.6102 0.6124  1 Se 2.42, 1 Mn 2.58, 2 Cu 2.61-2.63
Se: 0.3873 0.8898 0.1124  1 Se 2.42, 1 Mn 2.58, 2 Cu 2.61-2.63
Se: 0.6127 0.1102 0.8876  1 Se 2.42, 1 Mn 2.58, 2 Cu 2.61-2.63
Se: 0.6127 0.3898 0.3876  1 Se 2.42, 1 Mn 2.58, 2 Cu 2.61-2.63
Se: 0.8855 0.6132 0.8892  1 Se 2.43, 1 Cu 2.59, 2 Mn 2.61-2.64
Se: 0.8855 0.8868 0.3892  1 Se 2.43, 1 Cu 2.59, 2 Mn 2.61-2.64

=====

[3]
Material: DyZnNi
Method: DFT, GGA-PBE
State: relaxed

- Raw total energy: -39.10 eV/cell
- Symmetry: P-62m

a b c (Å): 7.0211 7.0211 3.7314
angles (deg): 90.00 90.00 120.00
With the nearest neighbours (Å) after each atom.
Positions (direct):
Dy: 0.0000 0.5876 0.0000  5 Ni 2.82-2.90, 6 Zn 3.06-3.14
Dy: 0.4124 0.4124 0.0000  5 Ni 2.82-2.90, 6 Zn 3.06-3.14
Dy: 0.5876 0.0000 0.0000  5 Ni 2.82-2.90, 6 Zn 3.06-3.14
Zn: 0.0000 0.2428 0.5000  4 Ni 2.53-2.71
Zn: 0.2428 0.0000 0.5000  4 Ni 2.53-2.71
Zn: 0.7572 0.7572 0.5000  4 Ni 2.53-2.71
Ni: 0.0000 0.0000 0.0000  6 Zn 2.53
Ni: 0.3333 0.6667 0.5000  3 Zn 2.71, 6 Dy 2.82
Ni: 0.6667 0.3333 0.5000  3 Zn 2.71, 6 Dy 2.82

=====

[4]
Material: K3SmP2O8
Method: DFT, GGA-PBE
State: relaxed

- Raw total energy: -189.31 eV/cell
- Symmetry: P2_1/m

a b c (Å): 7.5600 5.7304 9.5735
angles (deg): 90.00 91.12 90.00
With the nearest neighbours (Å) after each atom.
Positions (direct):
K: 0.0052 0.2500 0.1906  7 O 2.72-3.03
K: 0.1409 0.7500 0.4097  3 O 2.65-2.93
K: 0.2953 0.2500 0.9161  7 O 2.74-2.88
K: 0.7047 0.7500 0.0839  7 O 2.74-2.88
K: 0.8591 0.2500 0.5903  3 O 2.65-2.93
K: 0.9948 0.7500 0.8094  7 O 2.72-3.03
Sm: 0.4942 0.7500 0.7106  7 O 2.32-2.56
Sm: 0.5058 0.2500 0.2894  7 O 2.32-2.56
P: 0.2696 0.7500 0.0875  4 O 1.54-1.57
P: 0.3113 0.2500 0.5719  4 O 1.55-1.56
P: 0.6887 0.7500 0.4281  4 O 1.55-1.56
P: 0.7304 0.2500 0.9125  4 O 1.54-1.57
O: 0.0672 0.7500 0.1025  1 P 1.54
O: 0.2174 0.2500 0.4248  1 P 1.56
O: 0.2588 0.0281 0.6560  1 P 1.56
O: 0.2588 0.4719 0.6560  1 P 1.56
O: 0.3227 0.7500 0.9308  1 P 1.56
O: 0.3491 0.5281 0.1606  1 P 1.57
O: 0.3491 0.9719 0.1606  1 P 1.57
O: 0.4871 0.7500 0.4558  1 P 1.55
O: 0.5129 0.2500 0.5442  1 P 1.55
O: 0.6509 0.0281 0.8394  1 P 1.57
O: 0.6509 0.4719 0.8394  1 P 1.57
O: 0.6773 0.2500 0.0692  1 P 1.56
O: 0.7412 0.5281 0.3440  1 P 1.56
O: 0.7412 0.9719 0.3440  1 P 1.56
O: 0.7826 0.7500 0.5752  1 P 1.56
O: 0.9328 0.2500 0.8975  1 P 1.54

=====

[5]
Material: Tm2MgIr
Method: DFT, GGA-PBE
State: relaxed

- Raw total energy: -21.42 eV/cell
- Symmetry: Fm-3m

a b c (Å): 4.9576 4.9576 4.9576
angles (deg): 60.00 60.00 60.00
With the nearest neighbours (Å) after each atom.
Positions (direct):
Tm: 0.2500 0.2500 0.2500  4 Ir 3.04, 4 Mg 3.04
Tm: 0.7500 0.7500 0.7500  4 Ir 3.04, 4 Mg 3.04
Mg: 0.0000 0.0000 0.0000  8 Tm 3.04
Ir: 0.5000 0.5000 0.5000  8 Tm 3.04

=====

[6]
Material: KAl3Si3H2O12
Method: DFT, GGA-PBE
State: relaxed

- Raw total energy: -299.16 eV/cell
- Symmetry: Cc

a b c (Å): 5.2521 5.2521 20.6007
angles (deg): 93.13 93.13 120.25
With the nearest neighbours (Å) after each atom.
Positions (direct):
K: 0.0967 0.9033 0.5000  3 O 2.73-2.76
K: 0.9033 0.0967 0.0000  3 O 2.73-2.76
Al: 0.1681 0.3377 0.7589  6 O 1.85-2.01
Al: 0.3377 0.1681 0.2589  6 O 1.85-2.01
Al: 0.3938 0.5419 0.3894  4 O 1.75-1.76
Al: 0.5419 0.3938 0.8894  4 O 1.75-1.76
Al: 0.6703 0.8296 0.2592  6 O 1.85-2.00
Al: 0.8296 0.6703 0.7592  6 O 1.85-2.00
Si: 0.1989 0.7063 0.8916  4 O 1.63-1.68
Si: 0.2984 0.8127 0.1237  4 O 1.62-1.65
Si: 0.4689 0.6115 0.6234  4 O 1.61-1.66
Si: 0.6115 0.4689 0.1234  4 O 1.61-1.66
Si: 0.7063 0.1989 0.3916  4 O 1.63-1.68
Si: 0.8127 0.2984 0.6237  4 O 1.62-1.65
H: 0.0331 0.7646 0.3328  1 O 0.97
H: 0.2567 0.9759 0.6924  1 O 0.97
H: 0.7646 0.0331 0.8328  1 O 0.97
H: 0.9759 0.2567 0.1924  1 O 0.97
O: 0.0242 0.9049 0.3052  1 H 0.97
O: 0.0455 0.4741 0.4082  1 Si 1.63, 1 Al 1.75
O: 0.0833 0.9803 0.7050  1 H 0.97
O: 0.1233 0.4101 0.5895  2 Si 1.65-1.66
O: 0.1226 0.6271 0.8102  1 Si 1.68
O: 0.2993 0.4888 0.9233  1 Si 1.63, 1 Al 1.75
O: 0.3738 0.8703 0.2024  1 Si 1.62
O: 0.4101 0.1233 0.0895  2 Si 1.65-1.66
O: 0.4167 0.5181 0.3043  3 Al 1.76-1.85
O: 0.4703 0.6546 0.0905  2 Si 1.65
O: 0.4741 0.0455 0.9082  1 Si 1.63, 1 Al 1.75
O: 0.4769 0.5995 0.7015  1 Si 1.61
O: 0.4888 0.2993 0.4233  1 Si 1.63, 1 Al 1.75
O: 0.5181 0.4167 0.8043  3 Al 1.76-1.85
O: 0.5889 0.9443 0.6001  2 Si 1.64-1.65
O: 0.5995 0.4769 0.2015  1 Si 1.61
O: 0.6271 0.1226 0.3102  1 Si 1.68
O: 0.6539 0.9029 0.4241  1 Si 1.63, 1 Al 1.76
O: 0.6546 0.4703 0.5905  2 Si 1.65
O: 0.8703 0.3738 0.7024  1 Si 1.62
O: 0.9029 0.6539 0.9241  1 Si 1.63, 1 Al 1.76
O: 0.9049 0.0242 0.8052  1 H 0.97
O: 0.9443 0.5889 0.1001  2 Si 1.64-1.65
O: 0.9803 0.0833 0.2050  1 H 0.97

=====

[7]
Material: Li2Cu3F11
Method: DFT, GGA-PBE
State: relaxed

- Raw total energy: -128.36 eV/cell
- Symmetry: Pm

a b c (Å): 6.2015 7.2958 9.1335
angles (deg): 90.00 93.59 90.00
With the nearest neighbours (Å) after each atom.
Positions (direct):
Li: 0.0000 0.0000 0.0000  2 F 1.96
Li: 0.0874 0.5000 0.1030  2 F 1.87
Li: 0.3706 0.0000 0.4043  2 F 1.86
Li: 0.4761 0.5000 0.5042  2 F 1.95
Cu: 0.5571 0.2509 0.1267  6 F 1.85-2.00
Cu: 0.5571 0.7491 0.1267  6 F 1.85-2.00
Cu: 0.7215 0.2502 0.7513  6 F 1.81-1.94
Cu: 0.7215 0.7498 0.7513  6 F 1.81-1.94
Cu: 0.8981 0.2486 0.3754  6 F 1.85-2.01
Cu: 0.8981 0.7514 0.3754  6 F 1.85-2.01
F: 0.1902 0.2042 0.4079  1 Cu 1.85, 1 Li 1.86
F: 0.1902 0.7958 0.4079  1 Cu 1.85, 1 Li 1.86
F: 0.2635 0.2931 0.0976  1 Cu 1.85, 1 Li 1.87
F: 0.2635 0.7069 0.0976  1 Cu 1.85, 1 Li 1.87
F: 0.4695 0.3077 0.6519  1 Cu 1.81, 1 Li 1.95
F: 0.4695 0.6923 0.6519  1 Cu 1.81, 1 Li 1.95
F: 0.4818 0.0000 0.1874  2 Cu 1.98, 1 Li 2.14
F: 0.5730 0.1942 0.9256  2 Cu 1.89-1.93
F: 0.5730 0.8058 0.9256  2 Cu 1.89-1.93
F: 0.5878 0.3053 0.3421  2 Cu 1.97-2.00, 1 Li 2.20
F: 0.5878 0.6947 0.3421  2 Cu 1.97-2.00, 1 Li 2.20
F: 0.6501 0.5000 0.0898  2 Cu 1.94
F: 0.6729 0.0000 0.6932  2 Cu 1.92
F: 0.7693 0.5000 0.8104  2 Cu 1.92
F: 0.8064 0.0000 0.4158  2 Cu 1.94
F: 0.8673 0.3089 0.5758  2 Cu 1.90-1.94
F: 0.8673 0.6911 0.5758  2 Cu 1.90-1.94
F: 0.8676 0.1932 0.1595  2 Cu 1.98-2.01
F: 0.8676 0.8068 0.1595  2 Cu 1.98-2.01
F: 0.9752 0.1921 0.8506  1 Cu 1.82, 1 Li 1.96
F: 0.9752 0.8079 0.8506  1 Cu 1.82, 1 Li 1.96
F: 0.9773 0.5000 0.3158  2 Cu 1.98, 1 Li 2.10

=====

[8]
Material: Na7Y2Si3Sn2P3O24
Method: DFT, GGA-PBE
State: relaxed

- Raw total energy: -840.89 eV/cell
- Symmetry: P1

a b c (Å): 9.2493 9.2533 22.8558
angles (deg): 89.73 89.75 60.05
With the nearest neighbours (Å) after each atom.
Positions (direct):
Na: 0.0000 0.0000 0.0000  6 O 2.51-2.79
Na: 0.9996 0.3674 0.5059  3 O 2.40-2.59
Na: 0.2863 0.7160 0.5003  5 O 2.50-2.73
Na: 0.3034 0.3996 0.6649  6 O 2.43-2.72
Na: 0.3047 0.6658 0.1667  6 O 2.49-2.73
Na: 0.3070 0.0285 0.9189  6 O 2.51-2.59
Na: 0.3231 0.0232 0.4227  6 O 2.47-2.69
Na: 0.3441 0.3334 0.3391  5 O 2.49-2.65
Na: 0.6023 0.6925 0.3409  5 O 2.48-2.62
Na: 0.6170 0.0554 0.8390  5 O 2.49-2.63
Na: 0.6412 0.3616 0.2521  6 O 2.55-2.71
Na: 0.6430 0.3706 0.7566  6 O 2.53-2.81
Na: 0.6480 0.7223 0.0002  5 O 2.43-2.69
Na: 0.6819 0.0308 0.1635  5 O 2.50-2.60
Na: 0.6882 0.6484 0.6689  6 O 2.53-2.66
Na: 0.9367 0.0326 0.6734  5 O 2.43-2.66
Na: 0.9387 0.3903 0.1654  5 O 2.47-2.64
Na: 0.9667 0.6930 0.5823  5 O 2.48-2.71
Na: 0.9686 0.3324 0.8357  5 O 2.45-2.72
Na: 0.9787 0.0576 0.3365  6 O 2.49-2.73
Na: 0.9811 0.6898 0.0801  6 O 2.55-2.67
Y: 0.3048 0.0276 0.2707  6 O 2.12-2.33
Y: 0.6354 0.3647 0.4081  6 O 2.14-2.33
Y: 0.6426 0.3627 0.5999  6 O 2.17-2.36
Y: 0.6452 0.3592 0.0958  6 O 2.15-2.33
Y: 0.9743 0.6920 0.7385  6 O 2.17-2.35
Y: 0.9776 0.6972 0.2329  6 O 2.12-2.34
Si: 0.0116 0.0308 0.1661  4 O 1.63-1.67
Si: 0.0205 0.3151 0.6699  4 O 1.64-1.66
Si: 0.2735 0.6926 0.3368  4 O 1.63-1.67
Si: 0.3312 0.3620 0.5021  4 O 1.62-1.67
Si: 0.6411 0.6741 0.5025  4 O 1.63-1.65
Si: 0.6415 0.0581 0.0006  4 O 1.62-1.67
Si: 0.6700 0.6933 0.8363  4 O 1.63-1.67
Si: 0.9460 0.3644 0.0001  4 O 1.63-1.66
Si: 0.9732 0.9962 0.8365  4 O 1.62-1.67
Sn: 0.3051 0.0230 0.7741  6 O 2.02-2.22
Sn: 0.3055 0.0347 0.0637  6 O 2.02-2.22
Sn: 0.3122 0.0314 0.5666  6 O 2.01-2.16
Sn: 0.6416 0.3600 0.9035  6 O 2.05-2.16
Sn: 0.9733 0.6965 0.9334  6 O 2.03-2.17
Sn: 0.9735 0.6980 0.4378  6 O 2.01-2.13
P: 0.2767 0.3964 0.8358  4 O 1.53-1.58
P: 0.3084 0.3214 0.1675  4 O 1.54-1.56
P: 0.3089 0.7428 0.6682  4 O 1.54-1.56
P: 0.3395 0.6610 0.0014  4 O 1.53-1.58
P: 0.5931 0.0280 0.6710  4 O 1.54-1.56
P: 0.5995 0.7353 0.1659  4 O 1.54-1.57
P: 0.6828 0.9892 0.3363  4 O 1.54-1.56
P: 0.9500 0.0526 0.5031  4 O 1.53-1.57
P: 0.9742 0.4014 0.3371  4 O 1.54-1.57
O: 0.0029 0.8773 0.8941  1 Si 1.65
O: 0.0051 0.5001 0.6698  1 Si 1.64
O: 0.0911 0.0557 0.2262  1 Si 1.63
O: 0.1109 0.2019 0.7290  1 Si 1.66
O: 0.1253 0.1858 0.0044  1 Si 1.66
O: 0.1281 0.0321 0.5087  1 P 1.57
O: 0.1327 0.2251 0.6108  1 Si 1.65
O: 0.1349 0.0279 0.8338  1 Si 1.66
O: 0.1356 0.0019 0.1088  1 Si 1.67
O: 0.1386 0.2308 0.3363  1 P 1.55
O: 0.1442 0.4923 0.1678  1 P 1.55
O: 0.1442 0.5340 0.4975  1 Si 1.67
O: 0.1493 0.7294 0.6726  1 P 1.54
O: 0.1500 0.7214 0.3941  1 Si 1.67
O: 0.1525 0.4852 0.8870  1 P 1.55
O: 0.1611 0.6882 0.9922  1 P 1.56
O: 0.1916 0.6685 0.2773  1 Si 1.63
O: 0.2092 0.4907 0.7779  1 P 1.53
O: 0.2857 0.8469 0.6116  1 P 1.56
O: 0.2889 0.2262 0.1147  1 P 1.56
O: 0.2904 0.8611 0.3381  1 Si 1.64
O: 0.2930 0.2185 0.8329  1 P 1.58
O: 0.2983 0.2023 0.5070  1 Si 1.65
O: 0.3272 0.8373 0.0037  1 P 1.58
O: 0.3347 0.2239 0.2249  1 P 1.54
O: 0.3387 0.8258 0.7223  1 P 1.55
O: 0.4052 0.5691 0.0596  1 P 1.53
O: 0.4132 0.3975 0.5595  1 Si 1.63
O: 0.4368 0.3338 0.4425  1 Si 1.62
O: 0.4545 0.3710 0.8447  1 P 1.55
O: 0.4593 0.5257 0.3386  1 Si 1.64
O: 0.4603 0.3472 0.1618  1 P 1.54
O: 0.4640 0.5698 0.9504  1 P 1.56
O: 0.4649 0.5666 0.6655  1 P 1.55
O: 0.4648 0.8524 0.5099  1 Si 1.65
O: 0.4814 0.0241 0.0058  1 Si 1.66
O: 0.4882 0.0515 0.7276  1 P 1.56
O: 0.4911 0.8731 0.8311  1 Si 1.67
O: 0.5025 0.8166 0.2224  1 P 1.54
O: 0.5058 0.0105 0.3362  1 P 1.55
O: 0.5105 0.9984 0.6169  1 P 1.55
O: 0.5123 0.8473 0.1109  1 P 1.57
O: 0.6039 0.5948 0.4449  1 Si 1.63
O: 0.6062 0.1877 0.6661  1 P 1.54
O: 0.6094 0.1790 0.9433  1 Si 1.65
O: 0.6102 0.5635 0.1630  1 P 1.55
O: 0.6539 0.5251 0.8458  1 Si 1.65
O: 0.6739 0.1596 0.3414  1 P 1.54
O: 0.6782 0.1307 0.0595  1 Si 1.62
O: 0.6837 0.5522 0.5596  1 Si 1.64
O: 0.7597 0.7318 0.8920  1 Si 1.66
O: 0.7695 0.8719 0.6733  1 P 1.55
O: 0.7734 0.8705 0.3891  1 P 1.56
O: 0.7764 0.7145 0.1670  1 P 1.55
O: 0.7766 0.9126 0.2788  1 P 1.54
O: 0.7843 0.6503 0.7776  1 Si 1.63
O: 0.8009 0.1829 0.8427  1 Si 1.67
O: 0.8116 0.6869 0.4953  1 Si 1.65
O: 0.8137 0.8726 0.9941  1 Si 1.67
O: 0.8232 0.3742 0.3421  1 P 1.54
O: 0.8259 0.1983 0.1641  1 Si 1.64
O: 0.8341 0.4076 0.0593  1 Si 1.63
O: 0.8356 0.3307 0.6690  1 Si 1.64
O: 0.8452 0.1326 0.5582  1 P 1.53
O: 0.8530 0.3271 0.9450  1 Si 1.66
O: 0.8747 0.1607 0.4482  1 P 1.54
O: 0.9385 0.9222 0.7773  1 Si 1.62
O: 0.9478 0.5027 0.2807  1 P 1.54
O: 0.9620 0.5325 0.9906  1 Si 1.65
O: 0.9740 0.8739 0.4977  1 P 1.56
O: 0.9919 0.4930 0.3918  1 P 1.57
O: 0.9951 0.8619 0.1652  1 Si 1.64